Computed, not measured: a relaxed structure of Na6Y4Ta4Si7S5O48 at the PBE level of DFT.

a b c (Å): 9.058 15.786 23.338
angles (deg): 89.79 89.84 89.97
Element x y z (fractional)
Na 0.000 0.000 0.000
Na 0.011 0.665 0.167
Na 0.013 0.330 0.341
Na 0.031 0.670 0.682
Na 0.043 0.322 0.834
Na 0.149 0.497 0.259
Na 0.375 0.998 0.767
Na 0.481 0.826 0.332
Na 0.496 0.170 0.173
Na 0.514 0.832 0.844
Na 0.515 0.165 0.674
Na 0.524 0.493 0.502
Na 0.540 0.499 0.007
Na 0.626 0.001 0.256
Na 0.668 0.328 0.584
Na 0.862 0.830 0.081
Na 0.902 0.501 0.760
Na 0.988 0.001 0.510
Y 0.009 0.323 0.191
Y 0.020 0.672 0.822
Y 0.023 0.334 0.694
Y 0.025 0.005 0.147
Y 0.035 0.665 0.323
Y 0.500 0.166 0.826
Y 0.504 0.834 0.193
Y 0.506 0.503 0.649
Y 0.510 0.171 0.321
Y 0.518 0.824 0.693
Y 0.533 0.165 0.515
Y 0.996 0.662 0.015
Ta 0.001 0.333 0.489
Ta 0.012 0.998 0.651
Ta 0.014 0.666 0.523
Ta 0.030 0.991 0.362
Ta 0.033 0.001 0.864
Ta 0.494 0.494 0.359
Ta 0.498 0.490 0.862
Ta 0.512 0.498 0.148
Ta 0.526 0.840 0.485
Ta 0.529 0.165 0.019
Ta 0.529 0.833 0.989
Ta 0.995 0.334 0.981
Si 0.154 0.858 0.755
Si 0.157 0.141 0.755
Si 0.157 0.514 0.423
Si 0.171 0.811 0.424
Si 0.217 0.501 0.756
Si 0.311 0.001 0.256
Si 0.358 0.310 0.926
Si 0.369 0.354 0.253
Si 0.374 0.014 0.924
Si 0.377 0.641 0.254
Si 0.658 0.983 0.091
Si 0.659 0.685 0.091
Si 0.666 0.321 0.423
Si 0.670 0.015 0.416
Si 0.716 0.329 0.089
Si 0.810 0.164 0.919
Si 0.812 0.831 0.589
Si 0.859 0.515 0.915
Si 0.864 0.819 0.922
Si 0.868 0.483 0.589
Si 0.870 0.184 0.591
S 0.165 0.478 0.090
S 0.169 0.190 0.082
S 0.202 0.165 0.422
S 0.219 0.828 0.085
S 0.308 0.329 0.584
S 0.327 0.665 0.922
S 0.362 0.689 0.582
S 0.364 0.976 0.588
S 0.653 0.355 0.757
S 0.654 0.640 0.760
S 0.717 0.667 0.425
S 0.734 0.000 0.754
S 0.791 0.500 0.254
S 0.875 0.856 0.258
S 0.876 0.140 0.260
O 0.081 0.232 0.755
O 0.081 0.766 0.754
O 0.085 0.542 0.363
O 0.085 0.762 0.476
O 0.093 0.909 0.696
O 0.096 0.106 0.082
O 0.100 0.908 0.415
O 0.101 0.082 0.698
O 0.101 0.087 0.812
O 0.101 0.089 0.414
O 0.103 0.240 0.036
O 0.105 0.239 0.430
O 0.106 0.418 0.441
O 0.108 0.440 0.144
O 0.109 0.565 0.084
O 0.111 0.915 0.812
O 0.112 0.584 0.756
O 0.115 0.585 0.473
O 0.117 0.416 0.763
O 0.123 0.905 0.084
O 0.124 0.752 0.082
O 0.130 0.425 0.040
O 0.144 0.232 0.138
O 0.157 0.759 0.366
O 0.187 0.331 0.944
O 0.189 0.357 0.254
O 0.191 0.007 0.918
O 0.194 0.999 0.314
O 0.196 0.638 0.254
O 0.198 0.679 0.575
O 0.199 0.978 0.590
O 0.207 0.003 0.200
O 0.210 0.334 0.534
O 0.225 0.325 0.638
O 0.238 0.646 0.973
O 0.238 0.679 0.871
O 0.291 0.146 0.473
O 0.291 0.179 0.371
O 0.302 0.824 0.138
O 0.318 0.833 0.035
O 0.319 0.504 0.699
O 0.329 0.179 0.076
O 0.333 0.482 0.093
O 0.335 0.499 0.813
O 0.336 0.858 0.753
O 0.337 0.138 0.752
O 0.342 0.509 0.416
O 0.344 0.826 0.441
O 0.365 0.260 0.866
O 0.382 0.733 0.637
O 0.403 0.253 0.581
O 0.405 0.406 0.584
O 0.405 0.922 0.537
O 0.411 0.916 0.263
O 0.413 0.412 0.312
O 0.414 0.083 0.974
O 0.416 0.084 0.257
O 0.422 0.061 0.580
O 0.423 0.937 0.640
O 0.424 0.739 0.930
O 0.425 0.738 0.534
O 0.426 0.581 0.198
O 0.426 0.917 0.941
O 0.427 0.589 0.914
O 0.430 0.604 0.582
O 0.431 0.408 0.915
O 0.432 0.410 0.197
O 0.435 0.587 0.313
O 0.444 0.040 0.863
O 0.446 0.262 0.977
O 0.446 0.264 0.254
O 0.450 0.732 0.256
O 0.580 0.590 0.097
O 0.582 0.724 0.760
O 0.584 0.076 0.075
O 0.588 0.734 0.034
O 0.589 0.271 0.760
O 0.590 0.290 0.482
O 0.591 0.049 0.359
O 0.599 0.591 0.809
O 0.600 0.918 0.432
O 0.600 0.950 0.152
O 0.602 0.408 0.807
O 0.605 0.396 0.703
O 0.607 0.419 0.409
O 0.607 0.913 0.040
O 0.609 0.249 0.074
O 0.616 0.417 0.096
O 0.617 0.742 0.438
O 0.622 0.596 0.705
O 0.624 0.591 0.421
O 0.635 0.747 0.145
O 0.637 0.924 0.750
O 0.641 0.076 0.753
O 0.643 0.260 0.369
O 0.651 0.069 0.473
O 0.680 0.499 0.905
O 0.682 0.831 0.934
O 0.689 0.482 0.583
O 0.692 0.175 0.583
O 0.692 0.842 0.534
O 0.698 0.494 0.306
O 0.701 0.151 0.975
O 0.702 0.503 0.201
O 0.712 0.857 0.261
O 0.715 0.148 0.263
O 0.715 0.810 0.645
O 0.716 0.188 0.864
O 0.800 0.686 0.373
O 0.810 0.312 0.146
O 0.815 0.356 0.760
O 0.816 0.648 0.761
O 0.818 0.656 0.475
O 0.825 0.002 0.699
O 0.826 0.993 0.805
O 0.836 0.344 0.035
O 0.837 0.675 0.084
O 0.838 0.982 0.085
O 0.848 0.998 0.406
O 0.849 0.331 0.433
O 0.873 0.570 0.972
O 0.880 0.756 0.869
O 0.883 0.577 0.256
O 0.890 0.425 0.252
O 0.893 0.248 0.643
O 0.907 0.095 0.206
O 0.912 0.917 0.595
O 0.916 0.081 0.912
O 0.916 0.749 0.571
O 0.921 0.243 0.938
O 0.921 0.413 0.538
O 0.926 0.908 0.309
O 0.927 0.418 0.931
O 0.927 0.895 0.204
O 0.929 0.914 0.909
O 0.930 0.452 0.650
O 0.931 0.091 0.310
O 0.934 0.770 0.263
O 0.937 0.550 0.859
O 0.937 0.786 0.982
O 0.939 0.576 0.570
O 0.941 0.234 0.533
O 0.948 0.224 0.261
O 0.950 0.090 0.596

Output
Space group = P1
Magnetic moment = 0.00 μB/f.u.
Energy of formation from the pure elements = -2.89 eV/atom

***

Computed, not measured: a relaxed structure of Th7Ir3 at the PBE level of DFT.

a b c (Å): 10.088 10.088 6.312
angles (deg): 90.00 90.00 120.00
Element x y z (fractional)
Th 0.085 0.542 0.000
Th 0.128 0.257 0.706
Th 0.128 0.872 0.706
Th 0.257 0.128 0.206
Th 0.333 0.667 0.513
Th 0.458 0.542 0.000
Th 0.458 0.915 0.000
Th 0.542 0.085 0.500
Th 0.542 0.458 0.500
Th 0.667 0.333 0.013
Th 0.743 0.872 0.706
Th 0.872 0.128 0.206
Th 0.872 0.743 0.206
Th 0.915 0.458 0.500
Ir 0.187 0.374 0.260
Ir 0.187 0.813 0.260
Ir 0.374 0.187 0.760
Ir 0.626 0.813 0.260
Ir 0.813 0.187 0.760
Ir 0.813 0.626 0.760

Output
Space group = P6_3mc
Energy of formation from the pure elements = -0.66 eV/atom

***

Computed, not measured: a relaxed structure of Ga3Ag at the PBE level of DFT.

a b c (Å): 4.199 4.199 8.464
angles (deg): 90.00 90.00 90.00
Element x y z (fractional)
Ga 0.000 0.000 0.000
Ga 0.000 0.500 0.250
Ga 0.000 0.500 0.750
Ga 0.500 0.000 0.250
Ga 0.500 0.000 0.750
Ga 0.500 0.500 0.500
Ag 0.000 0.000 0.500
Ag 0.500 0.500 0.000

Output
Space group = I4/mmm
Energy of formation from the pure elements = 0.03 eV/atom
Excess energy over the best structure of this formula in the dataset = 0 meV/atom

***

Computed, not measured: a relaxed structure of Gd2Si2O7 at the PBE level of DFT.

a b c (Å): 14.004 8.341 5.127
angles (deg): 90.00 90.00 90.00
Element x y z (fractional)
Gd 0.126 0.008 0.158
Gd 0.126 0.492 0.158
Gd 0.374 0.508 0.658
Gd 0.374 0.992 0.658
Gd 0.626 0.008 0.342
Gd 0.626 0.492 0.342
Gd 0.874 0.508 0.842
Gd 0.874 0.992 0.842
Si 0.039 0.750 0.625
Si 0.180 0.250 0.621
Si 0.320 0.750 0.121
Si 0.461 0.250 0.125
Si 0.539 0.750 0.875
Si 0.680 0.250 0.879
Si 0.820 0.750 0.379
Si 0.961 0.250 0.375
O 0.047 0.584 0.792
O 0.047 0.916 0.792
O 0.080 0.250 0.438
O 0.098 0.750 0.352
O 0.154 0.250 0.930
O 0.232 0.088 0.515
O 0.232 0.412 0.515
O 0.268 0.588 0.015
O 0.268 0.912 0.015
O 0.346 0.750 0.430
O 0.402 0.250 0.852
O 0.420 0.750 0.938
O 0.453 0.084 0.292
O 0.453 0.416 0.292
O 0.547 0.584 0.708
O 0.547 0.916 0.708
O 0.580 0.250 0.062
O 0.598 0.750 0.148
O 0.654 0.250 0.570
O 0.732 0.088 0.985
O 0.732 0.412 0.985
O 0.768 0.588 0.485
O 0.768 0.912 0.485
O 0.846 0.750 0.070
O 0.902 0.250 0.648
O 0.920 0.750 0.562
O 0.953 0.084 0.208
O 0.953 0.416 0.208

Output
Space group = Pnma
Energy of formation from the pure elements = -3.63 eV/atom

***

Computed, not measured: a relaxed structure of LiBH4 at the PBE level of DFT.

a b c (Å): 4.203 4.203 7.420
angles (deg): 90.00 90.00 120.00
Element x y z (fractional)
Li 0.333 0.667 0.000
Li 0.667 0.333 0.500
B 0.333 0.667 0.422
B 0.667 0.333 0.922
H 0.175 0.350 0.477
H 0.175 0.825 0.477
H 0.333 0.667 0.257
H 0.350 0.175 0.977
H 0.650 0.825 0.477
H 0.667 0.333 0.757
H 0.825 0.175 0.977
H 0.825 0.650 0.977

Output
Space group = P6_3mc
Magnetic moment = 0.00 μB/f.u.
Energy of formation from the pure elements = -0.42 eV/atom
Excess energy over the best structure of this formula in the dataset = 28 meV/atom

***

Computed, not measured: a relaxed structure of Rb2PdF6 at the PBE level of DFT.

a b c (Å): 6.211 6.211 6.211
angles (deg): 60.00 60.00 60.00
Element x y z (fractional)
Rb 0.250 0.250 0.250
Rb 0.750 0.750 0.750
Pd 0.000 0.000 0.000
F 0.222 0.222 0.778
F 0.222 0.778 0.222
F 0.222 0.778 0.778
F 0.778 0.222 0.222
F 0.778 0.222 0.778
F 0.778 0.778 0.222

Output
Space group = Fm-3m
Energy of formation from the pure elements = -2.40 eV/atom

***

| no. | total energy (eV per atom) | V (Å³/f.u.) |
| --- | --- | --- |
| 1 | -7.541 | 1112 |
| 2 | -8.505 | 278 |
| 3 | -2.951 | 75 |
| 4 | -9.887 | 150 |
| 5 | -3.997 | 57 |
| 6 | -4.163 | 169 |